Record 1
18
Lattice="5.839 3.333 0.000 -5.839 3.333 0.000 0.000 0.004 7.087" Properties=species:S:1:pos:R:3 comment="K2ZrF6, optimized geometry, DFT GGA-PBE" formation_enthalpy_0k_kcal_per_mol_atoms=-84.40 energy_ev_per_atom=-5.825 pbc="T T T"
K -1.849 3.461 3.521
K -1.849 3.208 0.022
K 1.849 3.210 3.565
K 1.849 3.463 7.065
Zr -5.299 3.334 1.772
Zr 5.299 3.337 5.315
F -4.691 3.090 6.772
F -4.691 3.583 3.858
F 4.691 3.580 0.315
F 4.691 3.088 3.229
F -3.610 4.604 1.584
F -3.610 2.065 1.959
F 0.177 1.936 5.573
F 0.177 4.737 5.057
F -0.177 4.735 1.513
F -0.177 1.934 2.030
F 3.610 4.606 5.127
F 3.610 2.067 5.502

Record 2
18
Lattice="3.348 -5.874 0.000 3.348 5.874 0.000 0.000 0.000 7.016" Properties=species:S:1:pos:R:3 comment="K2ZrF6, optimized geometry, DFT GGA-PBE" formation_enthalpy_0k_kcal_per_mol_atoms=-84.37 energy_ev_per_atom=-5.824 pbc="T T T"
K 3.348 -1.845 3.514
K 3.348 1.845 3.502
K 3.348 1.845 0.006
K 3.348 -1.845 7.010
Zr 3.348 5.277 1.754
Zr 3.348 -5.277 5.262
F 3.348 -4.709 0.323
F 3.348 4.709 6.693
F 3.348 4.709 3.830
F 3.348 -4.709 3.185
F 4.619 -3.561 5.262
F 4.619 3.561 1.754
F 4.748 -0.109 5.262
F 4.748 0.109 1.754
F 1.949 0.109 1.754
F 1.949 -0.109 5.262
F 2.077 -3.561 5.262
F 2.077 3.561 1.754

Record 3
6
Lattice="4.732 0.000 0.000 0.000 4.732 0.000 0.000 0.000 6.037" Properties=species:S:1:pos:R:3 comment="KrF2, optimized geometry, DFT GGA-PBE" de_polymorph_mev_per_atom=0 formation_enthalpy_0k_kcal_per_mol_atoms=-8.62 energy_ev_per_atom=-1.361 pbc="T T T"
Kr 0.000 0.000 0.000
Kr 2.366 2.366 3.018
F 0.997 3.735 3.018
F 1.369 1.369 0.000
F 3.362 3.362 0.000
F 3.735 0.997 3.018

Record 4
3
Lattice="2.667 -1.877 -2.929 -4.499 -0.462 -0.520 -1.989 2.206 -3.224" Properties=species:S:1:pos:R:3 comment="KrF2, optimized geometry, DFT GGA-PBE" de_polymorph_mev_per_atom=6 formation_enthalpy_0k_kcal_per_mol_atoms=-8.48 energy_ev_per_atom=-1.355 pbc="T T T"
Kr 0.000 0.000 0.000
F -3.250 0.752 -3.440
F -0.571 -0.885 -3.233

Record 5
36
Lattice="-5.883 -7.983 -4.079 4.396 -1.843 -2.734 3.544 -6.794 8.184" Properties=species:S:1:pos:R:3 comment="SbKrF7, optimized geometry, DFT GGA-PBE" formation_enthalpy_0k_kcal_per_mol_atoms=-43.25 energy_ev_per_atom=-3.470 pbc="T T T"
Sb -0.608 -13.953 0.308
Sb 1.626 -9.879 3.205
Sb 2.666 -2.667 1.063
Sb 0.431 -6.741 -1.835
Kr 4.817 -7.227 0.736
Kr -0.743 -12.458 4.897
Kr -2.760 -9.393 0.635
Kr 2.800 -4.162 -3.526
F -0.747 -12.060 0.130
F 3.153 -9.888 4.347
F 2.804 -4.560 1.241
F -1.096 -6.732 -2.976
F 3.379 -6.114 4.303
F 2.228 -11.491 2.392
F -1.322 -10.506 -2.932
F -0.171 -5.129 -1.022
F 3.328 -7.918 7.129
F 1.955 -10.128 -0.659
F -1.271 -8.702 -5.758
F 0.103 -6.492 2.030
F 1.221 -5.537 -3.344
F -3.178 -10.729 -0.932
F 0.837 -11.083 4.715
F 5.235 -5.891 2.303
F -0.337 -7.881 -0.527
F 2.586 -2.677 -0.832
F 2.394 -8.739 1.897
F -0.529 -13.943 2.203
F 1.123 -8.185 -2.873
F 0.777 -2.847 1.272
F 0.934 -8.435 4.244
F 1.280 -13.773 0.099
F 2.109 -6.546 -0.966
F -3.363 -8.767 -2.823
F -0.051 -10.074 2.337
F 5.421 -7.853 4.193

Record 6
3
Lattice="0.000 2.962 2.962 2.962 0.000 2.962 2.962 2.962 0.000" Properties=species:S:1:pos:R:3 comment="LaF2, optimized geometry, DFT GGA-PBE" formation_enthalpy_0k_kcal_per_mol_atoms=-86.99 energy_ev_per_atom=-6.386 pbc="T T T"
La 0.000 0.000 0.000
F 1.481 1.481 1.481
F 4.443 4.443 4.443